Entry 1:
A geometry-optimized Li3VPCO7 structure. Source: the Materials Project, functional PBE with a Hubbard U.

```
52
Lattice="-5.438 -1.685 3.382 0.469 -7.862 -3.264 5.642 -1.957 7.975" Properties=species:S:1:pos:R:3 pbc="T T T"
Li -1.388 -9.074 2.703
Li 1.347 -10.089 6.592
Li -1.718 -6.792 0.466
Li -1.593 -8.544 5.870
Li 0.995 -7.732 4.274
Li 1.177 -6.357 1.920
Li -0.262 -3.751 3.654
Li 2.067 -3.027 2.197
Li 2.503 -4.712 7.628
Li 4.895 -3.952 6.142
Li -0.671 -1.410 1.455
Li 2.143 -2.426 5.404
V -4.231 -7.664 2.147
V 3.964 -7.442 5.788
V -3.341 -4.038 2.285
V -0.521 -5.034 6.280
P -1.760 -6.614 3.484
P 1.058 -7.582 7.490
P -0.376 -3.899 0.638
P 2.438 -4.927 4.591
C 1.086 -8.678 0.476
C 3.878 -9.662 4.446
C -3.177 -1.851 3.642
C -0.384 -2.816 7.624
O 1.730 -8.667 1.574
O -2.591 -8.624 1.101
O 4.551 -9.600 5.566
O 0.507 -7.577 0.037
O 0.159 -9.578 5.047
O 3.281 -8.573 4.051
O -2.504 -7.815 4.136
O -0.445 -7.176 2.906
O 0.441 -8.802 8.271
O 2.381 -8.206 6.958
O -0.595 -5.118 -0.325
O -2.686 -6.122 2.278
O 2.230 -6.124 3.658
O 0.130 -7.143 6.324
O 0.509 -4.371 1.805
O -1.567 -5.405 4.422
O 3.338 -5.368 5.803
O 1.280 -6.365 8.414
O 0.252 -2.688 -0.113
O -1.734 -3.317 1.122
O 1.110 -4.316 5.137
O 3.085 -3.689 3.899
O -2.584 -2.935 4.019
O 0.486 -1.902 3.015
O 0.217 -3.900 8.038
O -3.869 -1.868 2.549
O 3.326 -2.888 7.021
O -1.048 -2.883 6.512
```

Results
calculated total energy: -0.2515 hartree per atom
calculated formation energy: -2415 meV per atom
crystal system: triclinic
E above lowest polymorph: 17 meV/atom
mass density: 2690 kg/m³
volume: 559.91 Å³ per cell

---

Entry 2:
A geometry-optimized Na4Co12P8H4O37 structure. Source: the Materials Project, functional PBE with a Hubbard U.

```
65
Lattice="0.004 -7.942 -0.011 -9.754 0.007 1.677 -0.019 -0.014 -10.257" Properties=species:S:1:pos:R:3 pbc="T T T"
Na -9.110 -4.180 -1.665
Na -0.654 -0.213 -1.799
Na -0.660 -3.770 -6.926
Na -9.116 -7.738 -6.792
Co -6.058 -4.058 -3.414
Co -3.696 -0.082 -0.057
Co -3.713 -3.892 -5.177
Co -6.074 -7.868 -8.534
Co -1.834 -6.706 -4.986
Co -7.969 -2.735 -8.725
Co -7.936 -1.244 -3.605
Co -1.802 -5.215 0.134
Co -6.687 -5.341 -6.728
Co -3.087 -1.359 -6.960
Co -3.083 -2.609 -1.863
Co -6.683 -6.591 -1.631
P -8.632 -6.024 -4.220
P -1.157 -2.062 -9.499
P -1.138 -1.926 -4.371
P -8.613 -5.888 0.908
P -6.309 -2.190 -6.259
P -3.472 -6.154 -7.469
P -3.461 -5.760 -2.332
P -6.298 -1.796 -1.122
H -5.228 -5.931 -4.791
H -4.565 -1.913 -8.940
H -4.542 -2.019 -3.800
H -5.205 -6.037 0.349
O -5.018 -6.242 -7.555
O -4.761 -2.291 -6.199
O -4.752 -1.708 -1.036
O -5.009 -5.659 -2.392
O -1.176 -0.402 -4.142
O -8.573 -4.362 0.680
O -8.594 -7.548 -4.449
O -1.197 -3.588 -9.271
O -8.402 -5.319 -5.574
O -1.388 -1.361 -8.142
O -1.368 -2.631 -3.017
O -8.382 -6.589 -0.449
O -6.805 -3.118 -1.730
O -2.948 -7.082 -1.728
O -2.966 -4.833 -6.861
O -6.822 -0.868 -6.863
O -5.449 -5.020 -5.103
O -4.317 -1.032 -8.606
O -4.321 -2.930 -3.488
O -5.453 -6.918 0.014
O -2.887 -5.534 -3.767
O -6.871 -1.569 0.313
O -6.883 -2.416 -4.824
O -2.899 -6.381 -8.904
O -6.826 -3.351 -7.202
O -2.951 -7.317 -6.528
O -2.945 -4.599 -1.389
O -6.819 -0.633 -2.063
O -7.579 -6.364 -8.282
O -2.191 -2.396 -5.436
O -2.191 -1.586 -0.309
O -7.579 -5.554 -3.155
O -0.268 -5.577 -5.348
O -9.522 -1.599 -8.368
O -9.502 -2.373 -3.243
O -0.248 -6.352 -0.223
O -4.887 -0.004 -4.290
```

Results
calculated total energy: -0.2354 hartree per atom
calculated formation energy: -2015 meV per atom
crystal system: triclinic
mass density: 3432 kg/m³
volume: 794.86 Å³ per cell

---

Entry 3:
A geometry-optimized CoTePb2O6 structure. Source: the Materials Project, functional PBE with a Hubbard U.

```
40
Lattice="0.001 -6.671 -4.625 2.886 -1.665 9.246 -5.774 -3.333 4.623" Properties=species:S:1:pos:R:3 pbc="T T T"
Co -2.887 -5.002 -0.001
Co -2.887 -8.335 4.621
Co 2.886 -1.665 9.246
Co -0.001 -3.333 4.622
Te -2.888 -5.000 6.935
Te 2.885 -4.999 6.935
Te 0.001 -6.669 2.309
Te -2.886 -1.668 2.310
Pb -2.891 -5.002 10.369
Pb 0.000 -3.337 1.121
Pb 0.001 -6.669 5.737
Pb -2.888 -8.330 1.118
Pb -2.887 -4.999 3.507
Pb -2.882 -8.335 8.126
Pb 0.000 -6.668 -1.126
Pb -0.006 -3.336 8.122
O -2.580 -3.425 8.069
O -5.469 -5.098 3.447
O 0.300 -5.098 3.447
O -2.581 -6.764 -1.177
O -1.679 -6.053 8.069
O -4.565 -7.722 3.445
O 1.212 -7.713 3.448
O -1.678 -2.719 3.450
O 1.376 -2.189 3.448
O 1.369 -5.520 8.069
O -1.515 -7.191 3.445
O -1.512 -10.523 8.071
O -3.194 -6.572 5.799
O 2.583 -6.570 5.798
O -0.302 -8.240 1.171
O -0.306 -4.906 10.420
O -4.098 -3.954 5.796
O 1.678 -3.948 5.795
O -1.209 -5.616 1.174
O -1.209 -8.949 5.797
O -1.375 -4.478 5.798
O -4.259 -6.148 1.174
O -4.258 -9.481 5.797
O -1.374 -1.144 1.172
```

Results
calculated total energy: -0.2072 hartree per atom
calculated formation energy: -1478 meV per atom
crystal system: triclinic
E above lowest polymorph: 0 meV/atom
mass density: 8667 kg/m³
volume: 534.09 Å³ per cell